Model 1:
Compound: LaGd3
Source: the Materials Project
Functional: r2SCAN
Structure: optimized geometry

For the total moment, the calculation gives 15.94 μB/cell. The volume comes out at 273 Å³/cell.

The structure belongs to space group I4/mmm (No. 139); the cell edges are 5.0882, 5.0882 and 10.5394 Å and the angles 90.00°, 90.00° and 90.00°. Symmetry generates all atoms from La at (0.0000, 0.0000, 0.0000), Gd at (0.0000, 0.0000, 0.5000) and Gd at (0.0000, 0.5000, 0.2500).

=====

Model 2:
Compound: LaGd3
Source: the Materials Project
Functional: r2SCAN
Structure: optimized geometry

For the total moment, the calculation gives 49.26 μB/cell. The volume comes out at 283 Å³/cell.

The structure belongs to space group P6_3/mmc (No. 194); the cell edges are 7.4136, 7.4136 and 5.9516 Å and the angles 90.00°, 90.00° and 120.00°. Symmetry generates all atoms from La at (0.3333, 0.6667, 0.2500) and Gd at (0.1626, 0.3253, 0.7500).

=====

Short version: model 1 is the least stable of them.